1.
Entry from the Materials Project database: a relaxed structure of BaP4O11 (PBE).

Cell lengths 11.0407, 9.1891, 14.5339 Å; angles 90.00, 125.43, 90.00 degrees
Last column: nearest neighbours and their distance in Å.
Atoms (fractional coordinates):
Ba1 0.2387 0.0124 0.2849  6 O 2.58-2.85
Ba2 0.2387 0.4876 0.7849  6 O 2.58-2.85
Ba3 0.7613 0.5124 0.2151  6 O 2.58-2.85
Ba4 0.7613 0.9876 0.7151  6 O 2.58-2.85
P1 0.1860 0.0694 0.8414  3 O 1.48-1.65
P2 0.1860 0.4306 0.3414  3 O 1.48-1.65
P3 0.3287 0.6495 0.0594  4 O 1.48-1.65
P4 0.3287 0.8505 0.5594  4 O 1.48-1.65
P5 0.3482 0.6097 0.2716  4 O 1.48-1.62
P6 0.3482 0.8903 0.7716  4 O 1.48-1.62
P7 0.3524 0.5121 0.5802  4 O 1.47-1.62
P8 0.3524 0.9879 0.0802  4 O 1.47-1.62
P9 0.6476 0.0121 0.9198  4 O 1.47-1.62
P10 0.6476 0.4879 0.4198  4 O 1.47-1.62
P11 0.6518 0.1097 0.2284  4 O 1.48-1.62
P12 0.6518 0.3903 0.7284  4 O 1.48-1.62
P13 0.6713 0.1495 0.4406  4 O 1.48-1.65
P14 0.6713 0.3505 0.9406  4 O 1.48-1.65
P15 0.8140 0.5694 0.6586  3 O 1.48-1.65
P16 0.8140 0.9306 0.1586  3 O 1.48-1.65
O1 0.0551 0.0195 0.8369  1 P 1.48
O2 0.0551 0.4805 0.3369  1 P 1.48
O3 0.1995 0.2150 0.8045  1 P 1.48
O4 0.1995 0.2850 0.3045  1 P 1.48
O5 0.2134 0.5910 0.9458  1 P 1.48
O6 0.2134 0.9090 0.4458  1 P 1.48
O7 0.2156 0.5551 0.2745  2 P 1.57-1.65
O8 0.2156 0.9449 0.7745  2 P 1.57-1.65
O9 0.2769 0.6004 0.1413  2 P 1.58-1.65
O10 0.2769 0.8996 0.6413  2 P 1.58-1.65
O11 0.2785 0.0760 0.1189  1 P 1.47
O12 0.2785 0.4240 0.6189  1 P 1.47
O13 0.2999 0.6741 0.5572  2 P 1.56-1.65
O14 0.2999 0.8259 0.0572  2 P 1.56-1.65
O15 0.3379 0.0438 0.9713  2 P 1.58-1.66
O16 0.3379 0.4562 0.4713  2 P 1.58-1.66
O17 0.4056 0.7457 0.8238  1 P 1.48
O18 0.4056 0.7543 0.3238  1 P 1.48
O19 0.4689 0.0202 0.8299  2 P 1.62
O20 0.4689 0.4798 0.3299  2 P 1.62
O21 0.4899 0.6224 0.1173  1 P 1.48
O22 0.4899 0.8776 0.6173  1 P 1.48
O23 0.5101 0.1224 0.3827  1 P 1.48
O24 0.5101 0.3776 0.8827  1 P 1.48
O25 0.5311 0.5202 0.6701  2 P 1.62
O26 0.5311 0.9798 0.1701  2 P 1.62
O27 0.5944 0.2457 0.6762  1 P 1.48
O28 0.5944 0.2543 0.1762  1 P 1.48
O29 0.6621 0.5438 0.5287  2 P 1.58-1.66
O30 0.6621 0.9562 0.0287  2 P 1.58-1.66
O31 0.7001 0.1741 0.9428  2 P 1.56-1.65
O32 0.7001 0.3259 0.4428  2 P 1.56-1.65
O33 0.7215 0.5760 0.3811  1 P 1.47
O34 0.7215 0.9240 0.8811  1 P 1.47
O35 0.7231 0.1004 0.3587  2 P 1.58-1.65
O36 0.7231 0.3996 0.8587  2 P 1.58-1.65
O37 0.7844 0.0551 0.2255  2 P 1.57-1.65
O38 0.7844 0.4449 0.7255  2 P 1.57-1.65
O39 0.7866 0.0910 0.5542  1 P 1.48
O40 0.7866 0.4090 0.0542  1 P 1.48
O41 0.8005 0.7150 0.6955  1 P 1.48
O42 0.8005 0.7850 0.1955  1 P 1.48
O43 0.9449 0.5195 0.6631  1 P 1.48
O44 0.9449 0.9805 0.1631  1 P 1.48

Values from the calculation:
Density ... 2.4 g/cm³
Uncorrected energy ... -7.160 eV per atom
Spin magnetization ... 0.00 μB per formula unit
Space group ... P2_1/c, No. 14
DFT formation energy ... -2.758 eV/atom
Offset from the most stable computed form ... 25 kJ/mol of formula units

2.
Entry from the Materials Project database: a relaxed structure of Ba3P6O26 (PBE).

Cell lengths 11.5557, 11.5557, 15.2104 Å; angles 117.42, 117.42, 37.39 degrees
Last column: nearest neighbours and their distance in Å.
Atoms (fractional coordinates):
Ba1 0.1122 0.2659 0.2400  8 O 2.78-3.09
Ba2 0.2445 0.7555 0.7500  4 O 2.62-2.79
Ba3 0.2659 0.1122 0.7400  8 O 2.78-3.09
Ba4 0.7341 0.8878 0.2600  8 O 2.78-3.09
Ba5 0.7555 0.2445 0.2500  4 O 2.62-2.79
Ba6 0.8878 0.7341 0.7600  8 O 2.78-3.09
P1 0.0456 0.6966 0.0684  4 O 1.48-1.61
P2 0.1459 0.8067 0.3900  3 O 1.47-1.63
P3 0.1933 0.8541 0.1100  3 O 1.47-1.63
P4 0.2826 0.4696 0.2324  4 O 1.50-1.64
P5 0.3034 0.9544 0.4316  4 O 1.48-1.61
P6 0.4696 0.2826 0.7324  4 O 1.50-1.64
P7 0.5304 0.7174 0.2676  4 O 1.50-1.64
P8 0.6966 0.0456 0.5684  4 O 1.48-1.61
P9 0.7174 0.5304 0.7676  4 O 1.50-1.64
P10 0.8067 0.1459 0.8900  3 O 1.47-1.63
P11 0.8541 0.1933 0.6100  3 O 1.47-1.63
P12 0.9544 0.3034 0.9316  4 O 1.48-1.61
O1 0.0038 0.6150 0.9542  1 O 1.47, 1 P 1.61
O2 0.0075 0.4187 0.6015  1 O 1.35
O3 0.0446 0.0489 0.1715  1 P 1.51
O4 0.0489 0.0446 0.6715  1 P 1.51
O5 0.1257 0.5193 0.2461  1 P 1.50
O6 0.1265 0.7518 0.0589  2 P 1.57-1.63
O7 0.1290 0.1477 0.8843  1 P 1.48
O8 0.1477 0.1290 0.3843  1 P 1.48
O9 0.1510 0.4787 0.4687  2 O 1.27-1.35
O10 0.1606 0.4842 0.8988  1 O 1.47
O11 0.1616 0.7497 0.4671  1 P 1.47
O12 0.1847 0.5683 0.5391  1 O 1.27
O13 0.2268 0.5145 0.1235  2 P 1.59-1.64
O14 0.2482 0.8735 0.4411  2 P 1.57-1.63
O15 0.2503 0.8384 0.0329  1 P 1.47
O16 0.2688 0.4874 0.7355  1 P 1.50
O17 0.2935 0.6167 0.3089  2 P 1.63-1.66
O18 0.3833 0.7065 0.1911  2 P 1.63-1.66
O19 0.3850 0.9962 0.5458  1 O 1.47, 1 P 1.61
O20 0.4187 0.0075 0.1015  1 O 1.35
O21 0.4317 0.8153 0.9609  1 O 1.27
O22 0.4787 0.1510 0.9687  2 O 1.27-1.35
O23 0.4807 0.8743 0.2539  1 P 1.50
O24 0.4842 0.1606 0.3988  1 O 1.47
O25 0.4855 0.7732 0.3765  2 P 1.59-1.64
O26 0.4874 0.2688 0.2355  1 P 1.50
O27 0.5126 0.7312 0.7645  1 P 1.50
O28 0.5145 0.2268 0.6235  2 P 1.59-1.64
O29 0.5158 0.8394 0.6012  1 O 1.47
O30 0.5193 0.1257 0.7461  1 P 1.50
O31 0.5213 0.8490 0.0313  2 O 1.27-1.35
O32 0.5683 0.1847 0.0391  1 O 1.27
O33 0.5813 0.9925 0.8985  1 O 1.35
O34 0.6150 0.0038 0.4542  1 O 1.47, 1 P 1.61
O35 0.6167 0.2935 0.8089  2 P 1.63-1.66
O36 0.7065 0.3833 0.6911  2 P 1.63-1.66
O37 0.7312 0.5126 0.2645  1 P 1.50
O38 0.7497 0.1616 0.9671  1 P 1.47
O39 0.7518 0.1265 0.5589  2 P 1.57-1.63
O40 0.7732 0.4855 0.8765  2 P 1.59-1.64
O41 0.8153 0.4317 0.4609  1 O 1.27
O42 0.8384 0.2503 0.5329  1 P 1.47
O43 0.8394 0.5158 0.1012  1 O 1.47
O44 0.8490 0.5213 0.5313  2 O 1.27-1.35
O45 0.8523 0.8710 0.6157  1 P 1.48
O46 0.8710 0.8523 0.1157  1 P 1.48
O47 0.8735 0.2482 0.9411  2 P 1.57-1.63
O48 0.8743 0.4807 0.7539  1 P 1.50
O49 0.9511 0.9554 0.3285  1 P 1.51
O50 0.9554 0.9511 0.8285  1 P 1.51
O51 0.9925 0.5813 0.3985  1 O 1.35
O52 0.9962 0.3850 0.0458  1 O 1.47, 1 P 1.61

Values from the calculation:
Density ... 3.1 g/cm³
Uncorrected energy ... -6.487 eV per atom
Spin magnetization ... 0.00 μB per formula unit
Space group ... C2/c, No. 15
DFT formation energy ... -1.719 eV/atom
Offset from the most stable computed form ... 26 kJ/mol of formula units

3.
Entry from the Materials Project database: a relaxed structure of BaP2O8 (PBE).

Cell lengths 7.9394, 11.7470, 13.1535 Å; angles 106.42, 98.65, 99.70 degrees
Last column: nearest neighbours and their distance in Å.
Atoms (fractional coordinates):
Ba1 0.0143 0.3293 0.2425  5 O 2.60-2.85
Ba2 0.1994 0.1298 0.4772  7 O 2.66-2.92
Ba3 0.4479 0.4584 0.8049  8 O 2.70-3.02
Ba4 0.5521 0.5416 0.1951  8 O 2.70-3.02
Ba5 0.8006 0.8702 0.5228  7 O 2.66-2.92
Ba6 0.9857 0.6707 0.7575  5 O 2.60-2.85
P1 0.0593 0.6216 0.1607  4 O 1.49-1.62
P2 0.0777 0.1621 0.7568  4 O 1.49-1.63
P3 0.1819 0.7901 0.5391  4 O 1.50-1.62
P4 0.1979 0.3141 0.9831  4 O 1.49-1.63
P5 0.3675 0.6151 0.4285  4 O 1.49-1.63
P6 0.4648 0.7183 0.6605  4 O 1.49-1.66
P7 0.5352 0.2817 0.3395  4 O 1.49-1.66
P8 0.6325 0.3849 0.5715  4 O 1.49-1.63
P9 0.8021 0.6859 0.0169  4 O 1.49-1.63
P10 0.8181 0.2099 0.4609  4 O 1.50-1.62
P11 0.9223 0.8379 0.2432  4 O 1.49-1.63
P12 0.9407 0.3784 0.8393  4 O 1.49-1.62
O1 0.0108 0.9689 0.2927  1 P 1.49
O2 0.0274 0.3695 0.9560  2 P 1.62-1.63
O3 0.0311 0.7340 0.5800  1 P 1.51
O4 0.0729 0.4709 0.8128  1 P 1.53
O5 0.0732 0.7586 0.2382  2 P 1.62-1.63
O6 0.1471 0.9419 0.9261  1 O 1.23
O7 0.1517 0.1856 0.8853  2 P 1.63
O8 0.1592 0.4916 0.6525  2 O 2.37-2.44
O9 0.1594 0.9019 0.5098  1 P 1.50
O10 0.1936 0.2897 0.0883  1 P 1.49
O11 0.2126 0.6901 0.4348  2 P 1.61-1.63
O12 0.2184 0.2178 0.7082  1 P 1.51
O13 0.2305 0.0122 0.0148  1 O 1.23
O14 0.2395 0.6028 0.1594  1 P 1.49
O15 0.2974 0.4919 0.3476  1 P 1.49
O16 0.3442 0.2283 0.3202  1 P 1.49
O17 0.3439 0.7602 0.9982  1 O 1.23
O18 0.3620 0.3933 0.9748  1 P 1.51
O19 0.3642 0.8187 0.6257  2 P 1.62-1.66
O20 0.3832 0.6775 0.7449  1 P 1.52
O21 0.4005 0.6030 0.5491  2 P 1.62-1.63
O22 0.4066 0.8517 0.0774  1 O 1.23
O23 0.4727 0.3095 0.5887  1 P 1.50
O24 0.4779 0.9711 0.4511  1 O 1.24
O25 0.5221 0.0289 0.5489  1 O 1.24
O26 0.5273 0.6905 0.4113  1 P 1.50
O27 0.5934 0.1483 0.9226  1 O 1.23
O28 0.5995 0.3970 0.4509  2 P 1.62-1.63
O29 0.6168 0.3225 0.2551  1 P 1.52
O30 0.6358 0.1813 0.3743  2 P 1.62-1.66
O31 0.6380 0.6067 0.0252  1 P 1.51
O32 0.6561 0.2398 0.0018  1 O 1.23
O33 0.6558 0.7717 0.6798  1 P 1.49
O34 0.7026 0.5081 0.6524  1 P 1.49
O35 0.7605 0.3972 0.8406  1 P 1.49
O36 0.7695 0.9878 0.9852  1 O 1.23
O37 0.7816 0.7822 0.2918  1 P 1.51
O38 0.7874 0.3099 0.5652  2 P 1.61-1.63
O39 0.8064 0.7103 0.9117  1 P 1.49
O40 0.8406 0.0981 0.4902  1 P 1.50
O41 0.8408 0.5084 0.3475  2 O 2.37-2.44
O42 0.8483 0.8144 0.1147  2 P 1.63
O43 0.8529 0.0581 0.0739  1 O 1.23
O44 0.9268 0.2414 0.7618  2 P 1.62-1.63
O45 0.9271 0.5291 0.1872  1 P 1.53
O46 0.9689 0.2660 0.4200  1 P 1.51
O47 0.9726 0.6305 0.0440  2 P 1.62-1.63
O48 0.9892 0.0311 0.7073  1 P 1.49

Values from the calculation:
Density ... 2.9 g/cm³
Uncorrected energy ... -6.717 eV per atom
Spin magnetization ... 1.67 μB per formula unit
Space group ... P-1, No. 2
DFT formation energy ... -2.077 eV/atom
Offset from the most stable computed form ... 105 kJ/mol of formula units